No. 1
Computed, not measured: a relaxed structure of V3O5F at the PBE+U level of DFT.

a = 4.575 Å, b = 4.572 Å, c = 10.316 Å
α = 63.74°, β = 90.00°, γ = 90.00°
Sites, in units of the cell vectors:
V (0.250, 0.984, 0.007)
V (0.218, 0.695, 0.333)
V (0.249, 0.337, 0.653)
V (0.751, 0.337, 0.153)
V (0.782, 0.695, 0.833)
V (0.750, 0.984, 0.507)
O (0.043, 0.616, 0.174)
O (0.054, 0.307, 0.497)
O (0.056, 0.970, 0.832)
O (0.946, 0.307, 0.997)
O (0.944, 0.970, 0.332)
O (0.957, 0.616, 0.674)
O (0.559, 0.692, 0.997)
O (0.545, 0.029, 0.674)
O (0.455, 0.029, 0.174)
O (0.441, 0.692, 0.497)
F (0.546, 0.368, 0.333)
F (0.454, 0.368, 0.833)

Computed properties:
Calculated formation energy, eV per atom: -2.605
Energy above the most stable polymorph in this dataset, meV per atom: 0

***

No. 2
Computed, not measured: a relaxed structure of Mn3CrO8 at the PBE+U level of DFT.

a = 5.841 Å, b = 5.841 Å, c = 5.841 Å
α = 59.95°, β = 59.95°, γ = 59.95°
Sites, in units of the cell vectors:
Mn (0.000, 0.500, 0.500)
Mn (0.500, 0.500, 0.000)
Mn (0.500, 0.000, 0.500)
Cr (0.500, 0.500, 0.500)
O (0.266, 0.266, 0.266)
O (0.703, 0.265, 0.265)
O (0.265, 0.265, 0.703)
O (0.265, 0.703, 0.265)
O (0.735, 0.297, 0.735)
O (0.735, 0.735, 0.297)
O (0.734, 0.734, 0.734)
O (0.297, 0.735, 0.735)

Computed properties:
Calculated formation energy, eV per atom: -1.792
Energy above the most stable polymorph in this dataset, meV per atom: 31

***

No. 3
Computed, not measured: a relaxed structure of Li7VGeO8 at the PBE+U level of DFT.

a = 5.372 Å, b = 6.384 Å, c = 10.847 Å
α = 90.35°, β = 90.15°, γ = 90.71°
Sites, in units of the cell vectors:
Li (0.679, 0.764, 0.083)
Li (0.319, 0.515, 0.174)
Li (0.317, 0.017, 0.174)
Li (0.818, 0.018, 0.344)
Li (0.819, 0.518, 0.343)
Li (0.185, 0.271, 0.432)
Li (0.834, 0.745, 0.584)
Li (0.201, 0.510, 0.662)
Li (0.116, 0.049, 0.653)
Li (0.973, 0.381, 0.827)
Li (0.832, 0.011, 0.846)
Li (0.455, 0.909, 0.709)
Li (0.625, 0.548, 0.842)
Li (0.356, 0.238, 0.933)
V (0.831, 0.266, 0.094)
V (0.333, 0.772, 0.424)
Ge (0.674, 0.264, 0.592)
Ge (0.168, 0.758, 0.927)
O (0.308, 0.767, 0.073)
O (0.158, 0.265, 0.095)
O (0.716, 0.484, 0.169)
O (0.715, 0.047, 0.167)
O (0.219, 0.990, 0.349)
O (0.213, 0.551, 0.350)
O (0.658, 0.767, 0.421)
O (0.810, 0.269, 0.444)
O (0.229, 0.778, 0.580)
O (0.344, 0.261, 0.594)
O (0.804, 0.479, 0.681)
O (0.767, 0.027, 0.670)
O (0.229, 0.993, 0.838)
O (0.276, 0.531, 0.844)
O (0.837, 0.745, 0.925)
O (0.728, 0.265, 0.937)

Computed properties:
Calculated formation energy, eV per atom: -2.364
Energy above the most stable polymorph in this dataset, meV per atom: 0